The following is a r2SCAN calculation of HoTmZn2 after structural relaxation, from the Materials Project database. Values from VASP.

Quantum ESPRESSO input file:
```
&SYSTEM
  ibrav = 0, nat = 16, ntyp = 3
/
ATOMIC_SPECIES
Ho 164.93 Ho.upf
Tm 168.93 Tm.upf
Zn 65.41 Zn.upf
CELL_PARAMETERS angstrom
7.024 0.000 0.000
0.000 7.024 0.000
0.000 0.000 7.024
ATOMIC_POSITIONS angstrom
Ho 0.000 0.000 0.000
Ho 0.000 3.512 3.512
Ho 3.512 0.000 3.512
Ho 3.512 3.512 0.000
Tm 0.000 0.000 3.512
Tm 0.000 3.512 0.000
Tm 3.512 0.000 0.000
Tm 3.512 3.512 3.512
Zn 1.756 1.756 1.756
Zn 1.756 1.756 5.268
Zn 1.756 5.268 1.756
Zn 1.756 5.268 5.268
Zn 5.268 1.756 1.756
Zn 5.268 1.756 5.268
Zn 5.268 5.268 1.756
Zn 5.268 5.268 5.268
```

Output
Energy of formation, eV/atom: -0.3933

---

The following is a r2SCAN calculation of SmCoC2 after structural relaxation, from the Materials Project database. Values from VASP.

Quantum ESPRESSO input file:
```
&SYSTEM
  ibrav = 0, nat = 16, ntyp = 3
/
ATOMIC_SPECIES
Sm 150.36 Sm.upf
Co 58.93 Co.upf
C 12.01 C.upf
CELL_PARAMETERS angstrom
5.283 0.000 0.000
0.000 5.289 0.000
-1.462 0.000 7.176
ATOMIC_POSITIONS angstrom
Sm 0.000 0.378 0.000
Sm -0.731 4.911 3.588
Sm 1.911 2.267 3.588
Sm 2.642 3.023 0.000
Co -0.712 2.273 4.975
Co 0.019 3.016 1.387
Co 2.660 0.371 1.387
Co 1.930 4.918 4.975
C 0.604 0.961 5.542
C 1.335 4.328 1.954
C 1.197 0.398 6.648
C 1.927 4.891 3.059
C 3.976 1.684 1.954
C 3.246 3.605 5.542
C 4.569 2.247 3.059
C 3.838 3.042 6.648
```

Output
Energy of formation, eV/atom: -0.3566

---

The following is a r2SCAN calculation of CeNbO4 after structural relaxation, from the Materials Project database. Values from VASP.

Quantum ESPRESSO input file:
```
&SYSTEM
  ibrav = 0, nat = 12, ntyp = 3
/
ATOMIC_SPECIES
Ce 140.12 Ce.upf
Nb 92.91 Nb.upf
O 16.00 O.upf
CELL_PARAMETERS angstrom
5.186 0.000 0.000
-0.485 5.521 0.000
-2.350 -2.760 5.698
ATOMIC_POSITIONS angstrom
Ce -0.122 1.383 1.349
Ce 2.473 1.378 4.349
Nb 0.120 -1.382 3.992
Nb 2.230 4.143 1.706
O -1.099 -0.070 3.203
O -1.058 -2.208 5.206
O 1.049 3.313 0.494
O 0.856 2.830 3.205
O 1.495 -0.069 2.493
O 1.301 -0.552 5.204
O 3.409 4.969 0.492
O 3.450 2.831 2.495
```

Output
Energy of formation, eV/atom: -3.3161

---

The following is a r2SCAN calculation of CaF2 after structural relaxation, from the Materials Project database. Values from VASP.

Quantum ESPRESSO input file:
```
&SYSTEM
  ibrav = 0, nat = 12, ntyp = 2
/
ATOMIC_SPECIES
Ca 40.08 Ca.upf
F 19.00 F.upf
CELL_PARAMETERS angstrom
5.929 0.000 0.000
0.000 3.564 0.000
0.000 0.000 6.992
ATOMIC_POSITIONS angstrom
Ca 1.477 0.891 0.782
Ca 1.488 2.673 4.278
Ca 4.441 0.891 2.714
Ca 4.452 2.673 6.210
F 0.127 2.673 2.337
F 0.851 2.673 6.478
F 2.114 0.891 2.982
F 2.838 0.891 5.833
F 3.092 2.673 1.159
F 3.815 2.673 4.010
F 5.078 0.891 0.514
F 5.802 0.891 4.655
```

Output
Energy of formation, eV/atom: -4.1876

---

The following is a r2SCAN calculation of SiO2 after structural relaxation, from the Materials Project database. Values from VASP.

Quantum ESPRESSO input file:
```
&SYSTEM
  ibrav = 0, nat = 12, ntyp = 2
/
ATOMIC_SPECIES
Si 28.09 Si.upf
O 16.00 O.upf
CELL_PARAMETERS angstrom
4.955 0.000 0.000
0.000 4.955 0.000
0.000 0.000 7.311
ATOMIC_POSITIONS angstrom
Si 0.000 0.000 0.000
Si 0.000 2.477 1.828
Si 2.477 0.000 5.484
Si 2.477 2.477 3.656
O 0.480 1.239 0.914
O 1.239 2.957 2.742
O 1.239 4.475 6.397
O 1.998 1.239 4.570
O 2.957 3.716 4.570
O 3.716 0.480 6.397
O 3.716 1.998 2.742
O 4.475 3.716 0.914
```

Output
Energy of formation, eV/atom: -3.0322

---

The following is a r2SCAN calculation of K2ZnO2 after structural relaxation, from the Materials Project database. Values from VASP.

Quantum ESPRESSO input file:
```
&SYSTEM
  ibrav = 0, nat = 10, ntyp = 3
/
ATOMIC_SPECIES
K 39.10 K.upf
Zn 65.41 Zn.upf
O 16.00 O.upf
CELL_PARAMETERS angstrom
-2.988 5.217 2.690
2.988 -5.217 2.690
2.988 5.217 -2.690
ATOMIC_POSITIONS angstrom
K 0.814 1.588 0.000
K 3.802 3.628 0.000
K -0.814 1.588 2.690
K 2.174 3.628 2.690
Zn 2.988 0.000 1.345
Zn 0.000 5.217 1.345
O 4.101 0.999 0.000
O 1.113 4.218 0.000
O 1.876 0.999 2.690
O -1.113 4.218 2.690
```

Output
Energy of formation, eV/atom: -1.4893

---

The following is a r2SCAN calculation of K3GaTe3 after structural relaxation, from the Materials Project database. Values from VASP.

Quantum ESPRESSO input file:
```
&SYSTEM
  ibrav = 0, nat = 28, ntyp = 3
/
ATOMIC_SPECIES
K 39.10 K.upf
Ga 69.72 Ga.upf
Te 127.60 Te.upf
CELL_PARAMETERS angstrom
8.654 0.000 0.000
0.000 13.764 0.000
-6.902 0.000 8.988
ATOMIC_POSITIONS angstrom
K -1.766 2.614 3.680
K -5.216 4.268 8.174
K 2.209 8.179 0.903
K -1.242 12.468 5.397
K -0.485 8.458 4.717
K 2.966 12.188 0.223
K -1.213 1.576 8.765
K 2.237 5.306 4.271
K 2.995 1.297 3.591
K -0.456 5.586 8.085
K 6.969 9.496 0.814
K 3.518 11.151 5.308
Ga -4.026 7.769 5.979
Ga -0.575 12.878 1.485
Ga 2.328 0.887 7.503
Ga 5.778 5.996 3.009
Te -3.906 0.761 6.577
Te -0.455 6.121 2.083
Te 0.537 1.514 1.155
Te -2.914 5.368 5.649
Te -2.543 9.455 7.328
Te 0.907 11.192 2.834
Te 0.845 2.572 6.154
Te 4.296 4.310 1.660
Te 4.667 8.397 3.339
Te 1.216 12.250 7.833
Te 2.207 7.643 6.905
Te 5.658 13.003 2.411
```

Output
Energy of formation, eV/atom: -1.0527

---

The following is a r2SCAN calculation of Li2CdIn after structural relaxation, from the Materials Project database. Values from VASP.

Quantum ESPRESSO input file:
```
&SYSTEM
  ibrav = 0, nat = 16, ntyp = 3
/
ATOMIC_SPECIES
Li 6.94 Li.upf
Cd 112.41 Cd.upf
In 114.82 In.upf
CELL_PARAMETERS angstrom
6.715 0.000 0.000
0.000 6.715 0.000
0.000 0.000 6.715
ATOMIC_POSITIONS angstrom
Li 0.000 0.000 0.000
Li 0.000 3.357 3.357
Li 1.679 1.679 1.679
Li 1.679 5.036 5.036
Li 3.357 0.000 3.357
Li 3.357 3.357 0.000
Li 5.036 1.679 5.036
Li 5.036 5.036 1.679
Cd 0.000 0.000 3.357
Cd 0.000 3.357 0.000
Cd 3.357 0.000 0.000
Cd 3.357 3.357 3.357
In 1.679 1.679 5.036
In 1.679 5.036 1.679
In 5.036 1.679 1.679
In 5.036 5.036 5.036
```

Output
Energy of formation, eV/atom: -0.3563

---

The following is a r2SCAN calculation of In6Se7 after structural relaxation, from the Materials Project database. Values from VASP.

Quantum ESPRESSO input file:
```
&SYSTEM
  ibrav = 0, nat = 26, ntyp = 2
/
ATOMIC_SPECIES
In 114.82 In.upf
Se 78.96 Se.upf
CELL_PARAMETERS angstrom
9.522 0.000 0.000
0.000 4.091 0.000
-3.359 0.000 17.622
ATOMIC_POSITIONS angstrom
In -0.182 0.000 1.832
In -1.443 0.007 11.025
In 0.676 2.050 5.525
In -0.121 4.089 17.039
In 1.521 2.052 9.636
In 1.887 4.082 13.631
In 4.276 2.037 3.990
In 4.642 0.006 7.985
In 6.284 2.043 0.583
In 5.487 0.004 12.097
In 7.606 2.052 6.596
In 6.345 2.046 15.790
Se -1.673 0.001 14.867
Se -0.097 0.006 8.733
Se 1.499 2.044 0.564
Se 1.510 0.002 4.005
Se 0.067 2.051 11.971
Se 2.847 2.052 7.199
Se 1.428 2.043 16.003
Se 4.735 4.089 1.619
Se 3.316 0.006 10.422
Se 6.096 0.006 5.650
Se 4.653 2.048 13.617
Se 4.664 4.090 17.058
Se 6.260 2.052 8.889
Se 7.836 2.046 2.755
```

Output
Energy of formation, eV/atom: -0.6397

---

The following is a r2SCAN calculation of Sr4As2O after structural relaxation, from the Materials Project database. Values from VASP.

Quantum ESPRESSO input file:
```
&SYSTEM
  ibrav = 0, nat = 14, ntyp = 3
/
ATOMIC_SPECIES
Sr 87.62 Sr.upf
As 74.92 As.upf
O 16.00 O.upf
CELL_PARAMETERS angstrom
4.858 0.000 0.000
0.000 4.858 0.000
0.000 0.000 16.349
ATOMIC_POSITIONS angstrom
Sr 0.000 0.000 2.833
Sr 0.000 0.000 13.515
Sr 0.000 2.429 0.000
Sr 0.000 2.429 8.174
Sr 2.429 0.000 0.000
Sr 2.429 0.000 8.174
Sr 2.429 2.429 5.341
Sr 2.429 2.429 11.008
As 0.000 0.000 5.954
As 0.000 0.000 10.395
As 2.429 2.429 2.221
As 2.429 2.429 14.128
O 0.000 0.000 0.000
O 2.429 2.429 8.174
```

Output
Energy of formation, eV/atom: -1.8299

---

The following is a r2SCAN calculation of K2GeF6 after structural relaxation, from the Materials Project database. Values from VASP.

Quantum ESPRESSO input file:
```
&SYSTEM
  ibrav = 0, nat = 9, ntyp = 3
/
ATOMIC_SPECIES
K 39.10 K.upf
Ge 72.64 Ge.upf
F 19.00 F.upf
CELL_PARAMETERS angstrom
5.606 0.000 0.000
-2.803 4.855 0.000
0.000 0.000 4.608
ATOMIC_POSITIONS angstrom
K 0.000 3.237 0.927
K 2.803 1.618 3.681
Ge 0.000 0.000 2.304
F 0.000 1.501 3.317
F -1.503 4.104 3.317
F 1.300 0.751 1.290
F 1.503 4.104 3.317
F 4.306 0.751 1.290
F 2.803 3.353 1.290
```

Output
Energy of formation, eV/atom: -2.9701

---

The following is a r2SCAN calculation of LiAlS2 after structural relaxation, from the Materials Project database. Values from VASP.

Quantum ESPRESSO input file:
```
&SYSTEM
  ibrav = 0, nat = 16, ntyp = 3
/
ATOMIC_SPECIES
Li 6.94 Li.upf
Al 26.98 Al.upf
S 32.06 S.upf
CELL_PARAMETERS angstrom
6.496 0.000 0.000
0.000 7.856 0.000
0.000 0.000 6.205
ATOMIC_POSITIONS angstrom
Li 0.541 0.961 0.000
Li 2.706 4.889 3.102
Li 3.789 2.967 0.000
Li 5.954 6.895 3.102
Al 0.479 4.919 0.022
Al 2.769 0.991 3.124
Al 3.727 6.865 0.022
Al 6.017 2.937 3.124
S 0.419 4.820 2.281
S 0.619 1.090 2.435
S 2.629 5.018 5.538
S 2.829 0.892 5.384
S 3.666 6.964 2.281
S 3.866 2.838 2.435
S 5.877 6.766 5.538
S 6.077 3.036 5.384
```

Output
Energy of formation, eV/atom: -1.4764

---

The following is a r2SCAN calculation of Cd3Pt after structural relaxation, from the Materials Project database. Values from VASP.

Quantum ESPRESSO input file:
```
&SYSTEM
  ibrav = 0, nat = 8, ntyp = 2
/
ATOMIC_SPECIES
Cd 112.41 Cd.upf
Pt 195.08 Pt.upf
CELL_PARAMETERS angstrom
4.152 0.000 0.000
0.000 4.152 0.000
0.000 0.000 8.631
ATOMIC_POSITIONS angstrom
Cd 0.000 0.000 0.000
Cd 0.000 2.076 2.158
Cd 0.000 2.076 6.474
Cd 2.076 0.000 2.158
Cd 2.076 0.000 6.474
Cd 2.076 2.076 4.316
Pt 0.000 0.000 4.316
Pt 2.076 2.076 0.000
```

Output
Energy of formation, eV/atom: -0.2389

---

The following is a r2SCAN calculation of NaYbAu2 after structural relaxation, from the Materials Project database. Values from VASP.

Quantum ESPRESSO input file:
```
&SYSTEM
  ibrav = 0, nat = 16, ntyp = 3
/
ATOMIC_SPECIES
Na 22.99 Na.upf
Yb 173.04 Yb.upf
Au 196.97 Au.upf
CELL_PARAMETERS angstrom
6.893 0.000 0.000
0.000 6.893 0.000
0.000 0.000 6.893
ATOMIC_POSITIONS angstrom
Na 0.000 0.000 0.000
Na 0.000 3.447 3.447
Na 3.447 0.000 3.447
Na 3.447 3.447 0.000
Yb 0.000 0.000 3.447
Yb 0.000 3.447 0.000
Yb 3.447 0.000 0.000
Yb 3.447 3.447 3.447
Au 1.723 1.723 1.723
Au 1.723 1.723 5.170
Au 1.723 5.170 1.723
Au 1.723 5.170 5.170
Au 5.170 1.723 1.723
Au 5.170 1.723 5.170
Au 5.170 5.170 1.723
Au 5.170 5.170 5.170
```

Output
Energy of formation, eV/atom: -0.6576

---

The following is a r2SCAN calculation of CaSnPt after structural relaxation, from the Materials Project database. Values from VASP.

Quantum ESPRESSO input file:
```
&SYSTEM
  ibrav = 0, nat = 12, ntyp = 3
/
ATOMIC_SPECIES
Ca 40.08 Ca.upf
Sn 118.71 Sn.upf
Pt 195.08 Pt.upf
CELL_PARAMETERS angstrom
7.380 0.000 0.000
0.000 4.624 0.000
0.000 0.000 7.905
ATOMIC_POSITIONS angstrom
Ca 0.132 1.156 1.486
Ca 3.557 3.468 5.439
Ca 3.822 1.156 2.467
Ca 7.247 3.468 6.419
Sn 1.255 1.156 4.565
Sn 2.435 3.468 0.612
Sn 4.945 1.156 7.293
Sn 6.124 3.468 3.340
Pt 1.526 3.468 3.154
Pt 2.164 1.156 7.107
Pt 5.216 3.468 0.799
Pt 5.853 1.156 4.751
```

Output
Energy of formation, eV/atom: -1.0044

---

The following is a r2SCAN calculation of TiCuSn after structural relaxation, from the Materials Project database. Values from VASP.

Quantum ESPRESSO input file:
```
&SYSTEM
  ibrav = 0, nat = 6, ntyp = 3
/
ATOMIC_SPECIES
Ti 47.87 Ti.upf
Cu 63.55 Cu.upf
Sn 118.71 Sn.upf
CELL_PARAMETERS angstrom
4.389 0.000 0.000
-2.195 3.801 0.000
0.000 0.000 6.006
ATOMIC_POSITIONS angstrom
Ti 0.000 0.000 0.000
Ti 0.000 0.000 3.003
Cu 0.000 2.534 1.689
Cu 2.195 1.267 4.692
Sn 0.000 2.534 4.474
Sn 2.195 1.267 1.471
```

Output
Energy of formation, eV/atom: -0.2324

---

The following is a r2SCAN calculation of CeSn3 after structural relaxation, from the Materials Project database. Values from VASP.

Quantum ESPRESSO input file:
```
&SYSTEM
  ibrav = 0, nat = 4, ntyp = 2
/
ATOMIC_SPECIES
Ce 140.12 Ce.upf
Sn 118.71 Sn.upf
CELL_PARAMETERS angstrom
4.722 0.000 0.000
0.000 4.722 0.000
0.000 0.000 4.722
ATOMIC_POSITIONS angstrom
Ce 0.000 0.000 0.000
Sn 0.000 2.361 2.361
Sn 2.361 0.000 2.361
Sn 2.361 2.361 0.000
```

Output
Energy of formation, eV/atom: -0.5314

---

The following is a r2SCAN calculation of BaNb3NO7 after structural relaxation, from the Materials Project database. Values from VASP.

Quantum ESPRESSO input file:
```
&SYSTEM
  ibrav = 0, nat = 24, ntyp = 4
/
ATOMIC_SPECIES
Ba 137.33 Ba.upf
Nb 92.91 Nb.upf
N 14.01 N.upf
O 16.00 O.upf
CELL_PARAMETERS angstrom
10.432 -1.944 0.000
10.432 1.944 0.000
-0.029 0.000 9.011
ATOMIC_POSITIONS angstrom
Ba 0.000 0.000 0.000
Ba 0.711 0.000 4.615
Nb 5.323 0.000 0.043
Nb 7.923 0.000 6.171
Nb 8.031 0.000 2.854
Nb 13.503 0.000 1.785
Nb 13.556 0.000 7.236
Nb 16.160 0.000 4.509
N 6.455 0.000 4.478
N 14.810 0.000 5.818
O 3.437 0.000 7.725
O 3.535 0.000 1.472
O 6.397 0.000 7.599
O 6.582 0.000 1.386
O 9.183 0.000 4.580
O 9.274 0.000 7.429
O 9.495 0.000 1.722
O 11.957 0.000 6.324
O 12.215 0.000 3.070
O 12.402 0.000 0.180
O 15.176 0.000 0.009
O 15.152 0.000 2.930
O 17.975 0.000 6.009
O 18.185 0.000 3.021
```

Output
Energy of formation, eV/atom: -2.6187

---

The following is a r2SCAN calculation of LiVF4 after structural relaxation, from the Materials Project database. Values from VASP.

Quantum ESPRESSO input file:
```
&SYSTEM
  ibrav = 0, nat = 24, ntyp = 3
/
ATOMIC_SPECIES
Li 6.94 Li.upf
V 50.94 V.upf
F 19.00 F.upf
CELL_PARAMETERS angstrom
7.350 0.000 0.000
0.000 4.932 0.000
-1.527 0.000 7.080
ATOMIC_POSITIONS angstrom
Li 0.564 1.197 2.395
Li -0.199 1.268 5.935
Li 6.023 3.663 1.145
Li 5.259 3.734 4.685
V 1.269 3.677 4.821
V 2.032 3.721 1.281
V 3.791 1.211 5.799
V 4.555 1.255 2.259
F 0.364 2.837 1.382
F -0.400 4.561 4.922
F 1.304 0.357 0.567
F 0.540 2.109 4.107
F 0.845 2.866 6.596
F 1.608 4.532 3.056
F 2.027 0.362 5.696
F 2.790 2.104 2.156
F 3.034 2.828 4.924
F 3.797 4.570 1.384
F 4.216 0.400 4.024
F 4.979 2.066 0.484
F 5.283 2.823 2.973
F 4.520 4.575 6.513
F 6.223 0.371 2.159
F 5.460 2.095 5.699
```

Output
Energy of formation, eV/atom: -3.2350

---

The following is a r2SCAN calculation of TbTmIr2 after structural relaxation, from the Materials Project database. Values from VASP.

Quantum ESPRESSO input file:
```
&SYSTEM
  ibrav = 0, nat = 16, ntyp = 3
/
ATOMIC_SPECIES
Tb 158.93 Tb.upf
Tm 168.93 Tm.upf
Ir 192.22 Ir.upf
CELL_PARAMETERS angstrom
6.787 0.000 0.000
0.000 6.787 0.000
0.000 0.000 6.787
ATOMIC_POSITIONS angstrom
Tb 0.000 0.000 0.000
Tb 0.000 3.394 3.394
Tb 3.394 0.000 3.394
Tb 3.394 3.394 0.000
Tm 0.000 0.000 3.394
Tm 0.000 3.394 0.000
Tm 3.394 0.000 0.000
Tm 3.394 3.394 3.394
Ir 1.697 1.697 1.697
Ir 1.697 1.697 5.090
Ir 1.697 5.090 1.697
Ir 1.697 5.090 5.090
Ir 5.090 1.697 1.697
Ir 5.090 1.697 5.090
Ir 5.090 5.090 1.697
Ir 5.090 5.090 5.090
```

Output
Energy of formation, eV/atom: -0.9738